[1]
VASP calculation (PBE-GGA) on a geometry-optimized CsRb2TlF6 structure.

Unit cell a=9.962 b=9.962 c=9.962 alpha=90.00 beta=90.00 gamma=90.00
Space group Fm-3m (No. 225)
One atom of each set of equivalent atoms:
1 Cs 0.000 0.000 0.000
2 Rb 0.250 0.250 0.250
3 Tl 0.000 0.000 0.500
4 F 0.000 0.000 0.279

Total magnetic moment   0.01 Bohr magnetons per cell
Formation energy   -2.6301 eV per atom

***

[2]
VASP calculation (PBE-GGA) on a geometry-optimized Ba3YIr2O9 structure.

Unit cell a=5.9564 b=5.9564 c=14.7277 alpha=90.00 beta=90.00 gamma=120.00
Space group P6_3/mmc (No. 194)
One atom of each set of equivalent atoms:
1 Ba 0.0000 0.0000 0.2500
2 Ba 0.3333 0.6667 0.0932
3 Y 0.0000 0.0000 0.0000
4 Ir 0.3333 0.6667 0.6642
5 O 0.0189 0.5095 0.7500
6 O 0.1763 0.3526 0.5870

Total magnetic moment   1.28 Bohr magnetons per cell
Excess energy over the best structure of this formula in the dataset   0.0 meV per atom
Formation energy   -2.5302 eV per atom

***

no.,electronic total energy (eV per cell)
1,-160.943
2,-212.403